Lu6UO12 | meta-GGA r2SCAN | optimized geometry

```
data_Lu6UO12
_space_group_name_H-M_alt 'R -3'
_space_group_IT_number 148
_space_group_name_Hall '-R 3'
_cell_length_a 9.7090
_cell_length_b 9.7090
_cell_length_c 9.0942
_cell_angle_alpha 90.00
_cell_angle_beta 90.00
_cell_angle_gamma 120.00
loop_
_atom_site_label
_atom_site_fract_x
_atom_site_fract_y
_atom_site_fract_z
_atom_site_occupancy
Lu1 0.0338 0.2487 0.1396 1
U1 0.0000 0.0000 0.5000 1
O1 0.0275 0.2174 0.8953 1
O2 0.0303 0.1972 0.3835 1
```

Calculated values
- size of the total moment (μB per cell) = 0.00
- calculated formation energy (eV/atom) = -3.969
- final energy (eV for the cell shown) = -1366.5